[1]
GdCoB4 | GGA-PBE | optimized geometry

Computed properties:
**Space group**: Pbam, No. 55

Lattice parameters (Å, degrees): 3.4041 5.9223 11.4776 90.00 90.00 90.00
With the nearest neighbours (Å) after each atom.
Fractional coordinates of all 24 atoms:
Gd 0.0000 0.3725 0.6501  14 B 2.59-2.72
Gd 0.0000 0.6275 0.3499  14 B 2.59-2.72
Gd 0.0000 0.8725 0.8499  14 B 2.59-2.72
Gd 0.0000 0.1275 0.1501  14 B 2.59-2.72
Co 0.0000 0.3654 0.9111  10 B 2.20-2.30
Co 0.0000 0.6346 0.0889  10 B 2.20-2.30
Co 0.0000 0.8654 0.5889  10 B 2.20-2.30
Co 0.0000 0.1346 0.4111  10 B 2.20-2.30
B 0.5000 0.0219 0.6898  3 B 1.74-1.86
B 0.5000 0.9781 0.3102  3 B 1.74-1.86
B 0.5000 0.5219 0.8102  3 B 1.74-1.86
B 0.5000 0.4781 0.1898  3 B 1.74-1.86
B 0.5000 0.1110 0.5458  3 B 1.68-1.74
B 0.5000 0.8890 0.4542  3 B 1.68-1.74
B 0.5000 0.6110 0.9542  3 B 1.68-1.74
B 0.5000 0.3890 0.0458  3 B 1.68-1.74
B 0.5000 0.2814 0.3161  3 B 1.80-1.86
B 0.5000 0.7186 0.6839  3 B 1.80-1.86
B 0.5000 0.7814 0.1839  3 B 1.80-1.86
B 0.5000 0.2186 0.8161  3 B 1.80-1.86
B 0.5000 0.3600 0.4672  3 B 1.73-1.82
B 0.5000 0.6400 0.5328  3 B 1.73-1.82
B 0.5000 0.8600 0.0328  3 B 1.73-1.82
B 0.5000 0.1400 0.9672  3 B 1.73-1.82

=====

[2]
Gd3Co11B4 | GGA-PBE | optimized geometry

Computed properties:
**Space group**: P6/mmm, No. 191

Lattice parameters (Å, degrees): 5.0651 5.0651 9.7784 90.00 90.00 120.00
With the nearest neighbours (Å) after each atom.
Fractional coordinates of all 18 atoms:
Gd 0.0000 0.0000 0.6576  12 Co 2.88-2.96, 6 B 2.92, 1 Gd 3.08
Gd 0.0000 0.0000 0.3424  12 Co 2.88-2.96, 6 B 2.92, 1 Gd 3.08
Gd 0.0000 0.0000 0.0000  18 Co 2.92-3.22
Co 0.0000 0.5000 0.7974  2 B 2.04
Co 0.5000 0.5000 0.7974  2 B 2.04
Co 0.5000 0.0000 0.2026  2 B 2.04
Co 0.6667 0.3333 0.0000  6 Co 2.46
Co 0.0000 0.5000 0.2026  2 B 2.04
Co 0.5000 0.0000 0.7974  2 B 2.04
Co 0.5000 0.5000 0.2026  2 B 2.04
Co 0.5000 0.5000 0.5000  4 B 2.08
Co 0.3333 0.6667 0.0000  6 Co 2.46
Co 0.5000 0.0000 0.5000  4 B 2.08
Co 0.0000 0.5000 0.5000  4 B 2.08
B 0.6667 0.3333 0.6516  6 Co 2.04-2.08
B 0.3333 0.6667 0.3484  6 Co 2.04-2.08
B 0.3333 0.6667 0.6516  6 Co 2.04-2.08
B 0.6667 0.3333 0.3484  6 Co 2.04-2.08

=====

Energy of formation from the pure elements, respectively: -0.559; -0.343 eV per atom.